Compound: Li4ZnP2S8
Source: the Materials Project
Functional: PBE-GGA
Structure: optimized geometry

Calculated values
The calculated density is 2.168 g cm⁻³. The relative energy among the computed polymorphs is 5 meV/atom. Its space group is P1 (1). The value obtained for the formation energy is -1.06 eV/atom. The spin magnetization comes out at 0.001 μB/cell.

abc: 9.5348 11.5121 22.9817
angles: 90.02 90.02 90.05
Closest atoms and distances in Å follow each position.
Fractional positions:
Li: 0.7517 0.2512 0.9986  4 S 2.55-2.62
Li: 0.7479 0.7476 0.7523  4 S 2.53-2.66
Li: 0.7498 0.2509 0.7501  4 S 2.57-2.59
Li: 0.2512 0.5011 0.8709  4 S 2.52-2.65
Li: 0.2434 0.0019 0.8705  4 S 2.52-2.69
Li: 0.7514 0.2598 0.2520  4 S 2.50-2.71
Li: 0.2479 0.4925 0.3748  4 S 2.54-2.65
Li: 0.2497 0.0053 0.3762  4 S 2.50-2.60
Li: 0.9925 0.7509 0.8765  4 S 2.39-2.42
Li: 0.9997 0.2496 0.8744  4 S 2.38-2.40
Li: 0.4927 0.5020 0.7487  4 S 2.37-2.45
Li: 0.4934 0.0007 0.7489  4 S 2.36-2.44
Li: 0.9921 0.2499 0.3768  4 S 2.36-2.41
Li: 0.5082 0.4987 0.5006  4 S 2.40-2.46
Li: 0.0154 0.2487 0.1263  4 S 2.39-2.46
Li: 0.4995 0.5028 0.2499  4 S 2.40-2.44
Li: 0.0032 0.9998 0.0021  4 S 2.43-2.47
Li: 0.0069 0.5007 0.0009  4 S 2.42-2.45
Li: 0.0014 0.0002 0.7495  4 S 2.39-2.45
Li: 0.0046 0.5009 0.7505  4 S 2.39-2.44
Li: 0.5022 0.7490 0.8756  4 S 2.40-2.45
Li: 0.4974 0.2473 0.8726  4 S 2.38-2.42
Li: 0.9907 0.9994 0.4997  4 S 2.42-2.47
Li: 0.9980 0.4989 0.5013  4 S 2.39-2.50
Li: 0.4952 0.7459 0.6238  4 S 2.44-2.53
Li: 0.5008 0.2518 0.6234  4 S 2.43-2.47
Li: 0.9943 0.9982 0.2484  4 S 2.39-2.45
Li: 0.0048 0.4978 0.2489  4 S 2.44-2.45
Li: 0.5080 0.7492 0.3755  4 S 2.37-2.49
Li: 0.5123 0.2543 0.3770  4 S 2.40-2.47
Li: 0.4992 0.7514 0.1272  4 S 2.41-2.49
Li: 0.4912 0.2525 0.1253  4 S 2.37-2.49
Zn: 0.0067 0.7493 0.6243  4 S 2.35-2.42
Zn: 0.0073 0.2511 0.6246  4 S 2.36-2.39
Zn: 0.9854 0.7467 0.3736  4 S 2.32-2.40
Zn: 0.5048 0.0007 0.5012  4 S 2.35-2.40
Zn: 0.9983 0.7485 0.1245  4 S 2.36-2.39
Zn: 0.4969 0.9998 0.2506  4 S 2.36-2.40
Zn: 0.5010 0.5006 0.0004  4 S 2.36-2.39
Zn: 0.4999 0.9993 0.0002  4 S 2.35-2.38
P: 0.7525 0.9972 0.8749  4 S 2.02-2.12
P: 0.7466 0.4936 0.8754  4 S 2.06-2.07
P: 0.7512 0.0050 0.6254  4 S 2.04-2.10
P: 0.7534 0.5016 0.6270  4 S 2.01-2.11
P: 0.2493 0.7553 0.7508  4 S 2.02-2.07
P: 0.2497 0.2542 0.7502  4 S 2.02-2.08
P: 0.7457 0.9986 0.3718  4 S 2.05-2.07
P: 0.7533 0.5008 0.3761  4 S 2.03-2.09
P: 0.2481 0.7511 0.5004  4 S 2.01-2.11
P: 0.2504 0.2427 0.4975  4 S 2.06-2.07
P: 0.7483 0.0011 0.1223  4 S 2.05-2.10
P: 0.7516 0.5036 0.1264  4 S 2.01-2.13
P: 0.2471 0.7538 0.2532  4 S 2.04-2.09
P: 0.2507 0.2479 0.2506  4 S 2.02-2.13
P: 0.2512 0.7450 0.0000  4 S 2.04-2.10
P: 0.2514 0.2487 0.9979  4 S 2.02-2.11
S: 0.6299 0.8950 0.0695  1 P 2.06
S: 0.6335 0.3953 0.0696  1 P 2.13, 1 Zn 2.36
S: 0.6270 0.8959 0.8225  1 P 2.06
S: 0.6268 0.3919 0.8212  1 P 2.06
S: 0.1356 0.6440 0.9448  1 P 2.04
S: 0.1349 0.1429 0.9444  1 P 2.05
S: 0.6389 0.8973 0.5707  1 P 2.06
S: 0.6414 0.3979 0.5737  1 P 2.01
S: 0.1283 0.6488 0.6980  1 P 2.07
S: 0.1280 0.1478 0.6976  1 P 2.08
S: 0.6315 0.8919 0.3174  1 P 2.06
S: 0.6346 0.3973 0.3205  1 P 2.08
S: 0.1281 0.6484 0.4434  1 P 2.10
S: 0.1279 0.1388 0.4454  1 P 2.06
S: 0.1328 0.6509 0.1970  1 P 2.06
S: 0.1349 0.1406 0.1998  1 P 2.03
S: 0.8671 0.6020 0.8246  1 P 2.06
S: 0.8657 0.1074 0.8223  1 P 2.06
S: 0.8728 0.6091 0.5746  1 P 2.07
S: 0.8695 0.1118 0.5734  1 P 2.05
S: 0.3692 0.3543 0.6978  1 P 2.02
S: 0.3681 0.8553 0.6980  1 P 2.02
S: 0.8671 0.6078 0.3196  1 P 2.09, 1 Zn 2.32
S: 0.8647 0.1071 0.3209  1 P 2.05
S: 0.3673 0.3542 0.4471  1 P 2.06
S: 0.3685 0.8624 0.4473  1 P 2.11
S: 0.8700 0.6079 0.0719  1 P 2.07
S: 0.8658 0.1117 0.0724  1 P 2.05
S: 0.3711 0.3527 0.2005  1 P 2.02
S: 0.3590 0.8636 0.1996  1 P 2.06
S: 0.3745 0.3587 0.9453  1 P 2.11
S: 0.3675 0.8593 0.9475  1 P 2.10
S: 0.6261 0.1045 0.9284  1 P 2.12
S: 0.6298 0.6014 0.9289  1 P 2.07
S: 0.6334 0.1063 0.6797  1 P 2.04
S: 0.6378 0.6067 0.6812  1 P 2.06
S: 0.1258 0.8569 0.8046  1 P 2.07
S: 0.1301 0.3578 0.8045  1 P 2.07
S: 0.6356 0.1022 0.4291  1 P 2.07
S: 0.6324 0.6043 0.4270  1 P 2.03
S: 0.1299 0.8578 0.5529  1 P 2.06
S: 0.1384 0.3495 0.5531  1 P 2.07
S: 0.6297 0.1048 0.1790  1 P 2.10
S: 0.6336 0.6057 0.1777  1 P 2.01
S: 0.1246 0.8591 0.3072  1 P 2.09
S: 0.1315 0.3506 0.3053  1 P 2.07
S: 0.1387 0.8506 0.0553  1 P 2.06
S: 0.1387 0.3517 0.0513  1 P 2.02
S: 0.8678 0.8971 0.9288  1 P 2.02
S: 0.8702 0.3920 0.9285  1 P 2.06
S: 0.8694 0.8907 0.6770  1 P 2.10
S: 0.8767 0.3910 0.6794  1 P 2.11
S: 0.3656 0.6455 0.8035  1 P 2.07
S: 0.3633 0.1421 0.8026  1 P 2.07
S: 0.8597 0.8893 0.4251  1 P 2.07
S: 0.8707 0.3964 0.4278  1 P 2.03
S: 0.3601 0.6416 0.5499  1 P 2.01
S: 0.3685 0.1377 0.5515  1 P 2.07
S: 0.8615 0.8902 0.1746  1 P 2.06
S: 0.8690 0.3909 0.1758  1 P 2.06
S: 0.3637 0.6458 0.3044  1 P 2.04
S: 0.3755 0.1405 0.3057  1 P 2.13, 1 Zn 2.36
S: 0.3706 0.6400 0.0527  1 P 2.05
S: 0.3720 0.1422 0.0504  1 P 2.07